[1]
VASP calculation (meta-GGA r2SCAN) on an optimized crystal structure of CaAl4.

Cell: 4.318 4.318 6.393 Å, 109.74 109.74 90.00°
Atoms (fractional coordinates):
Ca 0.000 0.000 0.000
Al 0.613 0.613 0.227
Al 0.250 0.750 0.500
Al 0.750 0.250 0.500
Al 0.387 0.387 0.773

## Properties
For the volume, the calculation gives 104.7 Å³ per cell. The formation energy comes out at -21 kJ per mole of atoms. Its total moment is 0.0 μB/cell.

[2]
VASP calculation (meta-GGA r2SCAN) on an optimized crystal structure of SbRu.

Cell: 3.789 5.898 6.617 Å, 90.00 90.00 90.00°
Atoms (fractional coordinates):
Sb 0.250 0.200 0.581
Ru 0.250 0.505 0.293
Sb 0.750 0.300 0.081
Ru 0.750 0.495 0.707
Ru 0.250 0.005 0.207
Sb 0.250 0.700 0.919
Ru 0.750 0.995 0.793
Sb 0.750 0.800 0.419

## Properties
For the volume, the calculation gives 147.9 Å³ per cell. The formation energy comes out at -15 kJ per mole of atoms. Its total moment is 0.0 μB/cell.

[3]
VASP calculation (meta-GGA r2SCAN) on an optimized crystal structure of LiMn2PO6.

Cell: 5.103 7.624 11.604 Å, 90.00 90.00 90.00°
Atoms (fractional coordinates):
O 0.250 0.885 0.792
O 0.998 0.987 0.375
Mn 0.250 0.709 0.925
Li 0.250 0.014 0.058
Mn 0.750 0.209 0.575
O 0.998 0.513 0.875
Li 0.750 0.514 0.442
O 0.750 0.785 0.249
P 0.750 0.530 0.795
O 0.498 0.013 0.625
O 0.000 0.819 0.014
O 0.500 0.181 0.986
O 0.502 0.513 0.875
O 0.750 0.115 0.208
Mn 0.750 0.291 0.075
Mn 0.250 0.791 0.425
O 0.002 0.487 0.125
O 0.502 0.987 0.375
O 0.250 0.215 0.751
O 0.250 0.615 0.292
O 0.000 0.181 0.986
Mn 0.250 0.187 0.412
Mn 0.750 0.813 0.588
O 0.000 0.319 0.486
P 0.750 0.970 0.295
Mn 0.250 0.313 0.912
O 0.500 0.319 0.486
O 0.498 0.487 0.125
O 0.750 0.715 0.749
O 0.750 0.385 0.708
O 0.000 0.681 0.514
O 0.500 0.819 0.014
Li 0.250 0.486 0.558
Li 0.750 0.986 0.942
O 0.500 0.681 0.514
O 0.002 0.013 0.625
P 0.250 0.030 0.705
P 0.250 0.470 0.205
O 0.250 0.285 0.251
Mn 0.750 0.687 0.088

## Properties
For the volume, the calculation gives 451.4 Å³ per cell. The formation energy comes out at -217 kJ per mole of atoms. Its total moment is 32.0 μB/cell.

[4]
VASP calculation (meta-GGA r2SCAN) on an optimized crystal structure of Sn3Ir2Se3.

Cell: 9.027 9.027 9.027 Å, 89.94 89.94 89.94°
Atoms (fractional coordinates):
Ir 0.745 0.745 0.245
Se 0.351 0.847 0.500
Sn 0.499 0.650 0.832
Ir 0.754 0.754 0.754
Se 0.653 0.999 0.852
Se 0.500 0.351 0.847
Se 0.999 0.852 0.653
Sn 0.002 0.151 0.667
Se 0.852 0.653 0.999
Se 0.649 0.153 0.500
Ir 0.246 0.246 0.246
Sn 0.168 0.501 0.350
Ir 0.255 0.255 0.755
Se 0.347 0.001 0.148
Sn 0.998 0.849 0.333
Sn 0.501 0.350 0.168
Se 0.001 0.148 0.347
Ir 0.745 0.245 0.745
Sn 0.350 0.168 0.501
Ir 0.255 0.755 0.255
Sn 0.667 0.002 0.151
Sn 0.832 0.499 0.650
Sn 0.333 0.998 0.849
Sn 0.650 0.832 0.499
Se 0.153 0.500 0.649
Ir 0.245 0.745 0.745
Ir 0.755 0.255 0.255
Se 0.847 0.500 0.351
Sn 0.849 0.333 0.998
Sn 0.151 0.667 0.002
Se 0.500 0.649 0.153
Se 0.148 0.347 0.001

## Properties
For the volume, the calculation gives 735.7 Å³ per cell. The formation energy comes out at -52 kJ per mole of atoms. Its total moment is 0.0 μB/cell.

[5]
VASP calculation (meta-GGA r2SCAN) on an optimized crystal structure of ZnNi3N.

Cell: 3.727 3.727 3.727 Å, 90.00 90.00 90.00°
Atoms (fractional coordinates):
Ni 0.000 0.500 0.500
Ni 0.500 0.500 0.000
Zn 0.000 0.000 0.000
Ni 0.500 0.000 0.500
N 0.500 0.500 0.500

## Properties
For the volume, the calculation gives 51.8 Å³ per cell. The formation energy comes out at -17 kJ per mole of atoms. Its total moment is 0.0 μB/cell.

[6]
VASP calculation (meta-GGA r2SCAN) on an optimized crystal structure of ThB2O5.

Cell: 6.755 6.755 10.319 Å, 80.03 80.03 61.91°
Atoms (fractional coordinates):
O 0.356 0.277 0.311
O 0.056 0.316 0.160
B 0.719 0.229 0.000
B 0.281 0.771 0.000
O 0.220 0.827 0.374
O 0.316 0.056 0.660
Th 0.021 0.616 0.307
O 0.827 0.220 0.874
B 0.833 0.436 0.142
Th 0.384 0.979 0.193
O 0.944 0.684 0.840
O 0.360 0.713 0.589
O 0.684 0.944 0.340
O 0.892 0.400 0.469
O 0.287 0.640 0.911
O 0.108 0.600 0.531
O 0.400 0.892 0.969
O 0.780 0.173 0.626
O 0.600 0.108 0.031
B 0.436 0.833 0.642
O 0.277 0.356 0.811
B 0.771 0.281 0.500
O 0.644 0.723 0.689
B 0.564 0.167 0.358
Th 0.616 0.021 0.807
O 0.640 0.287 0.411
O 0.723 0.644 0.189
B 0.167 0.564 0.858
B 0.229 0.719 0.500
O 0.173 0.780 0.126
O 0.713 0.360 0.089
Th 0.979 0.384 0.693

## Properties
For the volume, the calculation gives 406.8 Å³ per cell. The formation energy comes out at -309 kJ per mole of atoms. Its total moment is 0.0 μB/cell.